The following is a DFT calculation (PBE-GGA) of a relaxed structure of HoAlRh.

- Formation energy from the elements: -0.93 eV/atom
- V: 19.26 Å³ per atom
- Electronic total energy: -6.16 eV/atom

Cell: 6.8726 4.2278 7.9524 Å, 90.00 90.00 90.00°
Last column: nearest neighbours and their distance in Å.
Element x y z (fractional)
Ho  0.0305  0.2500  0.1800  5 Rh 2.89-2.99, 3 Al 3.12-3.18
Ho  0.4695  0.7500  0.6800  5 Rh 2.89-2.99, 3 Al 3.12-3.18
Ho  0.5305  0.2500  0.3200  5 Rh 2.89-2.99, 3 Al 3.12-3.18
Ho  0.9695  0.7500  0.8200  5 Rh 2.89-2.99, 3 Al 3.12-3.18
Al  0.1402  0.2500  0.5605  4 Rh 2.61-2.68
Al  0.3598  0.7500  0.0605  4 Rh 2.61-2.68
Al  0.6402  0.2500  0.9395  4 Rh 2.61-2.68
Al  0.8598  0.7500  0.4395  4 Rh 2.61-2.68
Rh  0.2326  0.7500  0.3794  4 Al 2.61-2.68, 1 Ho 2.89
Rh  0.2674  0.2500  0.8794  4 Al 2.61-2.68, 1 Ho 2.89
Rh  0.7326  0.7500  0.1206  4 Al 2.61-2.68, 1 Ho 2.89
Rh  0.7674  0.2500  0.6206  4 Al 2.61-2.68, 1 Ho 2.89